(1)
Entry from the Materials Project: an optimized crystal structure of K2O (r²SCAN).

Computed properties:
Energy   -170.7 eV for the cell shown
Calculated formation energy   -1108 meV/atom
Size of the total moment   0.00 μB per formula unit

The structure in POSCAR format:
```
K2O
1.0
9.240 0.000 0.000
0.000 9.240 0.000
0.000 0.000 6.464
K O
16 8
direct
0.000 0.000 0.250
0.000 0.000 0.750
0.000 0.500 0.250
0.000 0.500 0.750
0.250 0.250 0.245
0.250 0.250 0.745
0.250 0.750 0.001
0.250 0.750 0.499
0.500 0.000 0.250
0.500 0.000 0.750
0.500 0.500 0.250
0.500 0.500 0.750
0.750 0.250 0.501
0.750 0.250 0.999
0.750 0.750 0.255
0.750 0.750 0.755
0.018 0.250 0.997
0.250 0.018 0.497
0.250 0.482 0.497
0.482 0.250 0.997
0.518 0.750 0.003
0.750 0.518 0.503
0.750 0.982 0.503
0.982 0.750 0.003
```



(2)
Entry from the Materials Project: an optimized crystal structure of K2O (r²SCAN).

Computed properties:
Energy   -42.6 eV for the cell shown
Calculated formation energy   -1089 meV/atom
Size of the total moment   0.00 μB per formula unit

The structure in POSCAR format:
```
K2O
1.0
5.157 0.000 0.000
-0.002 5.157 0.000
-2.504 -2.539 6.612
K O
4 2
direct
0.075 0.323 0.148
0.322 0.074 0.648
0.678 0.926 0.352
0.925 0.677 0.852
0.129 0.873 0.250
0.871 0.127 0.750
```



(3)
Entry from the Materials Project: an optimized crystal structure of K2O (r²SCAN).

Computed properties:
Energy   -64.2 eV for the cell shown
Calculated formation energy   -1133 meV/atom
Size of the total moment   0.00 μB per formula unit

The structure in POSCAR format:
```
K2O
1.0
4.186 0.000 0.000
0.001 6.958 0.000
0.000 3.471 6.030
K O
6 3
direct
0.000 0.000 0.000
0.000 0.261 0.263
0.000 0.737 0.523
0.501 0.408 0.854
0.502 0.592 0.260
0.502 0.999 0.670
0.500 0.999 0.262
0.972 0.332 0.596
0.988 0.666 0.929
```



(4)
Entry from the Materials Project: an optimized crystal structure of K2O (r²SCAN).

Computed properties:
Energy   -171.5 eV for the cell shown
Calculated formation energy   -1144 meV/atom
Size of the total moment   0.00 μB per formula unit

The structure in POSCAR format:
```
K2O
1.0
6.351 0.000 0.000
0.000 12.789 0.000
0.000 0.000 6.572
K O
16 8
direct
0.001 0.020 0.238
0.001 0.480 0.738
0.141 0.205 0.623
0.141 0.295 0.123
0.359 0.705 0.623
0.359 0.795 0.123
0.499 0.520 0.238
0.499 0.980 0.738
0.501 0.020 0.262
0.501 0.480 0.762
0.641 0.205 0.877
0.641 0.295 0.377
0.859 0.705 0.877
0.859 0.795 0.377
0.999 0.520 0.262
0.999 0.980 0.762
0.234 0.615 0.972
0.234 0.885 0.472
0.266 0.115 0.972
0.266 0.385 0.472
0.734 0.615 0.528
0.734 0.885 0.028
0.766 0.115 0.528
0.766 0.385 0.028
```



(5)
Entry from the Materials Project: an optimized crystal structure of KPO3 (r²SCAN).

Computed properties:
Energy   -362.4 eV for the cell shown
Calculated formation energy   -2472 meV/atom
Size of the total moment   0.00 μB per formula unit

The structure in POSCAR format:
```
KPO3
1.0
11.263 0.000 0.000
0.000 4.551 0.000
-6.403 0.000 12.523
K P O
8 8 24
direct
0.066 0.210 0.359
0.066 0.290 0.859
0.395 0.740 0.066
0.395 0.760 0.566
0.605 0.240 0.434
0.605 0.260 0.934
0.934 0.710 0.141
0.934 0.790 0.641
0.216 0.190 0.162
0.216 0.310 0.662
0.311 0.687 0.308
0.311 0.813 0.808
0.689 0.187 0.192
0.689 0.313 0.692
0.784 0.690 0.338
0.784 0.810 0.838
0.081 0.213 0.156
0.081 0.287 0.656
0.198 0.707 0.335
0.198 0.793 0.835
0.238 0.239 0.568
0.238 0.261 0.068
0.276 0.635 0.699
0.276 0.865 0.199
0.323 0.135 0.766
0.323 0.365 0.266
0.447 0.739 0.891
0.447 0.761 0.391
0.553 0.239 0.609
0.553 0.261 0.109
0.677 0.635 0.734
0.677 0.865 0.234
0.724 0.135 0.801
0.724 0.365 0.301
0.762 0.739 0.932
0.762 0.761 0.432
0.802 0.207 0.165
0.802 0.293 0.665
0.919 0.713 0.344
0.919 0.787 0.844
```



(6)
Entry from the Materials Project: an optimized crystal structure of KPO3 (r²SCAN).

Computed properties:
Energy   -362.4 eV for the cell shown
Calculated formation energy   -2473 meV/atom
Size of the total moment   0.00 μB per formula unit

The structure in POSCAR format:
```
KPO3
1.0
10.232 0.000 0.000
0.000 4.553 0.000
-2.661 0.000 13.772
K P O
8 8 24
direct
0.066 0.222 0.174
0.066 0.278 0.674
0.395 0.735 0.632
0.395 0.765 0.132
0.605 0.235 0.868
0.605 0.265 0.368
0.934 0.722 0.326
0.934 0.778 0.826
0.216 0.202 0.446
0.216 0.298 0.946
0.312 0.701 0.347
0.312 0.799 0.847
0.688 0.201 0.153
0.688 0.299 0.653
0.784 0.702 0.054
0.784 0.798 0.554
0.082 0.226 0.383
0.082 0.274 0.883
0.200 0.719 0.263
0.200 0.781 0.763
0.237 0.228 0.051
0.237 0.272 0.551
0.276 0.623 0.939
0.276 0.877 0.439
0.323 0.121 0.896
0.323 0.379 0.396
0.448 0.724 0.833
0.448 0.776 0.333
0.552 0.224 0.667
0.552 0.276 0.167
0.677 0.621 0.604
0.677 0.879 0.104
0.724 0.123 0.561
0.724 0.377 0.061
0.763 0.728 0.449
0.763 0.772 0.949
0.800 0.219 0.237
0.800 0.281 0.737
0.918 0.726 0.117
0.918 0.774 0.617
```



(7)
Entry from the Materials Project: an optimized crystal structure of KPO3 (r²SCAN).

Computed properties:
Energy   -180.9 eV for the cell shown
Calculated formation energy   -2459 meV/atom
Size of the total moment   0.00 μB per formula unit

The structure in POSCAR format:
```
KPO3
1.0
4.445 0.000 0.000
0.000 5.817 0.000
0.000 0.000 12.426
K P O
4 4 12
direct
0.232 0.250 0.093
0.268 0.750 0.593
0.732 0.250 0.407
0.768 0.750 0.907
0.181 0.750 0.328
0.319 0.250 0.828
0.681 0.750 0.172
0.819 0.250 0.672
0.166 0.250 0.710
0.240 0.530 0.384
0.240 0.970 0.384
0.260 0.030 0.884
0.260 0.470 0.884
0.334 0.750 0.210
0.666 0.250 0.790
0.740 0.530 0.116
0.740 0.970 0.116
0.760 0.030 0.616
0.760 0.470 0.616
0.834 0.750 0.290
```



(8)
Entry from the Materials Project: an optimized crystal structure of K3PO4 (r²SCAN).

Computed properties:
Energy   -280.9 eV for the cell shown
Calculated formation energy   -2411 meV/atom
Size of the total moment   0.00 μB per formula unit

The structure in POSCAR format:
```
K3PO4
1.0
11.182 0.000 0.000
0.000 8.059 0.000
0.000 0.000 5.935
K P O
12 4 16
direct
0.069 0.250 0.135
0.144 0.007 0.695
0.144 0.493 0.695
0.356 0.507 0.195
0.356 0.993 0.195
0.431 0.750 0.635
0.569 0.250 0.365
0.644 0.007 0.805
0.644 0.493 0.805
0.856 0.507 0.305
0.856 0.993 0.305
0.931 0.750 0.865
0.115 0.750 0.282
0.385 0.250 0.782
0.615 0.750 0.218
0.885 0.250 0.718
0.008 0.750 0.448
0.110 0.592 0.134
0.110 0.908 0.134
0.232 0.750 0.422
0.268 0.250 0.922
0.390 0.092 0.634
0.390 0.408 0.634
0.492 0.250 0.948
0.508 0.750 0.052
0.610 0.592 0.366
0.610 0.908 0.366
0.732 0.750 0.078
0.768 0.250 0.578
0.890 0.092 0.866
0.890 0.408 0.866
0.992 0.250 0.552
```



(9)
Entry from the Materials Project: an optimized crystal structure of KPaO3 (r²SCAN).

Computed properties:
Energy   -117.8 eV for the cell shown
Calculated formation energy   -3407 meV/atom
Size of the total moment   0.00 μB per formula unit

The structure in POSCAR format:
```
KPaO3
1.0
4.356 0.000 0.000
0.000 4.356 0.000
0.000 0.000 4.356
K Pa O
1 1 3
direct
0.000 0.000 0.000
0.500 0.500 0.500
0.000 0.500 0.500
0.500 0.000 0.500
0.500 0.500 0.000
```



(10)
Entry from the Materials Project: an optimized crystal structure of K3Pt2O4 (r²SCAN).

Computed properties:
Energy   -311.6 eV for the cell shown
Calculated formation energy   -1211 meV/atom
Size of the total moment   0.00 μB per formula unit

The structure in POSCAR format:
```
K3Pt2O4
1.0
3.028 -4.603 0.000
3.028 4.603 0.000
0.000 0.000 11.684
K Pt O
6 4 8
direct
0.148 0.852 0.567
0.148 0.852 0.933
0.212 0.788 0.250
0.788 0.212 0.750
0.852 0.148 0.067
0.852 0.148 0.433
0.422 0.578 0.750
0.500 0.500 0.000
0.500 0.500 0.500
0.578 0.422 0.250
0.209 0.372 0.616
0.209 0.372 0.884
0.372 0.209 0.116
0.372 0.209 0.384
0.628 0.791 0.616
0.628 0.791 0.884
0.791 0.628 0.116
0.791 0.628 0.384
```



(11)
Entry from the Materials Project: an optimized crystal structure of K2PuO4 (r²SCAN).

Computed properties:
Energy   -140.1 eV for the cell shown
Calculated formation energy   -2543 meV/atom
Size of the total moment   2.00 μB per formula unit

The structure in POSCAR format:
```
K2PuO4
1.0
-2.146 2.146 6.546
2.146 -2.146 6.546
2.146 2.146 -6.546
K Pu O
2 1 4
direct
0.149 0.149 0.000
0.851 0.851 0.000
0.500 0.500 0.000
0.000 0.500 0.500
0.355 0.355 0.000
0.500 0.000 0.500
0.645 0.645 0.000
```



(12)
Entry from the Materials Project: an optimized crystal structure of K2Pu2O5 (r²SCAN).

Computed properties:
Energy   -239.8 eV for the cell shown
Calculated formation energy   -2798 meV/atom
Size of the total moment   8.00 μB per formula unit

The structure in POSCAR format:
```
K2Pu2O5
1.0
4.289 0.000 0.000
0.000 4.289 0.000
0.000 0.000 8.605
K Pu O
2 2 5
direct
0.000 0.000 0.000
0.000 0.000 0.500
0.500 0.500 0.247
0.500 0.500 0.753
0.000 0.500 0.281
0.000 0.500 0.719
0.500 0.000 0.281
0.500 0.000 0.719
0.500 0.500 0.000
```



(13)
Entry from the Materials Project: an optimized crystal structure of K2RbScV2O8 (r²SCAN).

Computed properties:
Energy   -152.1 eV for the cell shown
Calculated formation energy   -2773 meV/atom
Size of the total moment   0.00 μB per formula unit

The structure in POSCAR format:
```
K2RbScV2O8
1.0
5.783 0.000 0.000
-2.892 5.008 0.000
0.000 0.000 7.523
K Rb Sc V O
2 1 1 2 8
direct
0.333 0.667 0.187
0.667 0.333 0.813
0.000 0.000 0.500
0.000 0.000 0.000
0.333 0.667 0.754
0.667 0.333 0.246
0.171 0.341 0.835
0.171 0.829 0.835
0.333 0.667 0.533
0.341 0.171 0.165
0.659 0.829 0.835
0.667 0.333 0.467
0.829 0.171 0.165
0.829 0.659 0.165
```



(14)
Entry from the Materials Project: an optimized crystal structure of K2Rh2O5 (r²SCAN).

Computed properties:
Energy   -99.4 eV for the cell shown
Calculated formation energy   -1030 meV/atom
Size of the total moment   4.06 μB per formula unit

The structure in POSCAR format:
```
K2Rh2O5
1.0
3.858 0.000 0.000
0.000 3.858 0.000
0.000 0.000 8.441
K Rh O
2 2 5
direct
0.000 0.000 0.000
0.000 0.000 0.500
0.500 0.500 0.237
0.500 0.500 0.763
0.000 0.500 0.268
0.000 0.500 0.732
0.500 0.000 0.268
0.500 0.000 0.732
0.500 0.500 0.000
```



(15)
Entry from the Materials Project: an optimized crystal structure of K2RuO5 (r²SCAN).

Computed properties:
Energy   -308.7 eV for the cell shown
Calculated formation energy   -1230 meV/atom
Size of the total moment   0.00 μB per formula unit

The structure in POSCAR format:
```
K2RuO5
1.0
6.187 0.000 0.000
0.000 7.781 0.000
0.000 0.000 11.354
K Ru O
8 4 20
direct
0.012 0.162 0.322
0.048 0.608 0.544
0.452 0.392 0.044
0.488 0.838 0.822
0.512 0.338 0.678
0.548 0.892 0.456
0.952 0.108 0.956
0.988 0.662 0.178
0.058 0.056 0.636
0.442 0.944 0.136
0.558 0.444 0.364
0.942 0.556 0.864
0.050 0.454 0.993
0.112 0.249 0.562
0.191 0.547 0.790
0.200 0.119 0.767
0.245 0.114 0.130
0.255 0.886 0.630
0.300 0.881 0.267
0.309 0.453 0.290
0.388 0.751 0.062
0.450 0.546 0.493
0.550 0.046 0.007
0.612 0.251 0.438
0.691 0.953 0.210
0.700 0.381 0.233
0.745 0.386 0.870
0.755 0.614 0.370
0.800 0.619 0.733
0.809 0.047 0.710
0.888 0.749 0.938
0.950 0.954 0.507
```